The following is a PBE with a Hubbard U calculation of a geometry-optimized Li9Mn2Co5O16 structure, from the Materials Project.

Summary:
**Formation energy from the elements**: -1781.3 meV/atom
**Volume**: 287.03 Å³ per cell
**Size of the total moment**: 8.74 μB/cell

a = 5.117 Å, b = 5.810 Å, c = 9.781 Å
α = 90.00°, β = 99.18°, γ = 90.00°
Space group P2/m (No. 10)
Asymmetric unit:
Li 0.000 0.000 0.000 (multiplicity 1)
Li 0.240 0.244 0.234 (multiplicity 4)
Li 0.247 0.000 0.764 (multiplicity 2)
Li 0.259 0.500 0.760 (multiplicity 2)
Mn 0.500 0.000 0.500 (multiplicity 1)
Mn 0.500 0.500 0.500 (multiplicity 1)
Co 0.000 0.245 0.500 (multiplicity 2)
Co 0.000 0.500 0.000 (multiplicity 1)
Co 0.500 0.243 0.000 (multiplicity 2)
O 0.099 0.000 0.383 (multiplicity 2)
O 0.135 0.500 0.396 (multiplicity 2)
O 0.139 0.270 0.890 (multiplicity 4)
O 0.346 0.500 0.112 (multiplicity 2)
O 0.392 0.000 0.120 (multiplicity 2)
O 0.394 0.255 0.615 (multiplicity 4)

=====

The following is a PBE with a Hubbard U calculation of a geometry-optimized CoP2O7 structure, from the Materials Project.

Summary:
**Formation energy from the elements**: -2040.0 meV/atom
**Volume**: 539.79 Å³ per cell
**Size of the total moment**: 20.02 μB/cell

a = 6.963 Å, b = 8.705 Å, c = 9.365 Å
α = 90.00°, β = 108.02°, γ = 90.00°
Space group P2_1/c (No. 14)
Asymmetric unit:
Co 0.177 0.074 0.295 (multiplicity 4)
P 0.022 0.711 0.969 (multiplicity 4)
P 0.410 0.750 0.244 (multiplicity 4)
O 0.004 0.630 0.386 (multiplicity 4)
O 0.015 0.581 0.860 (multiplicity 4)
O 0.137 0.206 0.450 (multiplicity 4)
O 0.243 0.710 0.087 (multiplicity 4)
O 0.371 0.588 0.790 (multiplicity 4)
O 0.386 0.230 0.284 (multiplicity 4)
O 0.403 0.627 0.360 (multiplicity 4)

=====

| no. | distance to the lowest polymorph of the same formula (eV/atom) |
| --- | --- |
| 1 | 0.083 |
| 2 | 0.044 |